#P
A plane-wave DFT calculation with GGA+U was carried out for a relaxed LiFe8O12 crystal.

Unit cell a=6.0373 b=6.0419 c=13.4497 alpha=77.38 beta=77.06 gamma=89.93
Closest atoms and distances in Å follow each position.
Space group P-1 (No. 2)
One atom of each set of equivalent atoms:
Li1 0.0000 0.0000 0.0000 x1  6 O 2.14-2.17
Li2 0.5000 0.5000 0.5000 x1  6 O 2.14-2.15
Fe1 0.0000 0.5000 0.0000 x1  6 O 2.03-2.07
Fe2 0.0000 0.5000 0.5000 x1  6 O 2.04-2.05
Fe3 0.1228 0.3741 0.7513 x2  4 O 1.88-1.99
Fe4 0.1667 0.1591 0.1628 x2  6 O 2.00-2.12
Fe5 0.2029 0.9620 0.5799 x2  4 O 1.91-1.97
Fe6 0.3277 0.8403 0.8376 x2  6 O 2.07-2.22
Fe7 0.3419 0.3318 0.3348 x2  6 O 2.02-2.09
Fe8 0.3420 0.8298 0.3346 x2  6 O 2.02-2.10
Fe9 0.4562 0.6991 0.0829 x2  4 O 1.88-1.96
O1 0.0708 0.5931 0.8381 x2  4 Fe 1.93-2.15
O2 0.0759 0.0730 0.8299 x2  3 Fe 1.88-2.07
O3 0.0978 0.5778 0.3403 x2  4 Fe 1.99-2.10
O4 0.1059 0.0849 0.3283 x2  4 Fe 1.97-2.12
O5 0.2385 0.2566 0.0055 x2  3 Fe 1.94-2.06, 1 Li 2.14
O6 0.2409 0.7351 0.9993 x2  3 Fe 1.88-2.07
O7 0.2424 0.2620 0.4939 x2  3 Fe 1.91-2.05
O8 0.2426 0.7424 0.4936 x2  3 Fe 1.93-2.05, 1 Li 2.14
O9 0.4030 0.9160 0.1741 x2  4 Fe 1.96-2.15
O10 0.4044 0.3951 0.1759 x2  4 Fe 1.96-2.16
O11 0.4316 0.9202 0.6640 x2  3 Fe 1.96-2.04
O12 0.4334 0.4180 0.6679 x2  3 Fe 1.94-2.02, 1 Li 2.15

**Magnetization**: 39.000 μB per formula unit

#Q
A plane-wave DFT calculation with GGA+U was carried out for a relaxed LiFe8O12 crystal.

Unit cell a=5.8253 b=5.2130 c=7.6348 alpha=90.00 beta=98.36 gamma=90.00
Closest atoms and distances in Å follow each position.
Space group P2 (No. 3)
One atom of each set of equivalent atoms:
Li1 0.0000 0.0000 0.0000 x1  3 O 1.84-1.87
Fe1 0.1577 0.9802 0.3896 x2  5 O 1.91-2.11
Fe2 0.2906 0.4921 0.0803 x2  2 O 1.86-1.99
Fe3 0.3089 0.4824 0.5818 x2  6 O 2.07-2.21
Fe4 0.4579 0.9847 0.7798 x2  5 O 1.95-2.19
O1 0.0000 0.3521 0.0000 x1  1 Li 1.84, 2 Fe 1.86
O2 0.0000 0.6770 0.5000 x1  4 Fe 2.07-2.08
O3 0.1702 0.1318 0.6412 x2  4 Fe 2.00-2.08
O4 0.2137 0.8360 0.1694 x2  1 Li 1.87, 3 Fe 1.91-2.05
O5 0.3564 0.2972 0.3291 x2  5 Fe 2.11-2.21
O6 0.3620 0.6382 0.8340 x2  4 Fe 1.95-2.17
O7 0.5000 0.1864 0.0000 x1  4 Fe 1.97-2.15
O8 0.5000 0.8115 0.5000 x1  6 Fe 2.18-2.36

**Magnetization**: 39.000 μB per formula unit

Most stable structure, least stable structure: #P, #Q.

#P
A plane-wave DFT calculation with GGA+U was carried out for a relaxed MgMn4O8 crystal.

Unit cell a=9.4173 b=6.0385 c=13.9897 alpha=90.00 beta=130.64 gamma=90.00
Closest atoms and distances in Å follow each position.
Space group P2_1/c (No. 14)
One atom of each set of equivalent atoms:
Mg1 0.1766 0.1312 0.4105 x4  5 O 2.03-2.13
Mn1 0.1801 0.1128 0.6033 x4  6 O 1.90-2.02
Mn2 0.1851 0.6171 0.5908 x4  5 O 1.93-2.12
Mn3 0.4530 0.6341 0.3871 x4  5 O 1.92-2.10
Mn4 0.4725 0.1344 0.3937 x4  6 O 1.90-2.07
O1 0.0726 0.5950 0.9580 x4  2 Mn 1.94-2.01, 1 Mg 2.03
O2 0.0789 0.1453 0.9743 x4  3 Mn 2.01-2.02, 1 Mg 2.13
O3 0.2532 0.6377 0.2081 x4  3 Mn 1.90-1.98
O4 0.2662 0.1463 0.2179 x4  3 Mn 1.90-2.12
O5 0.3441 0.6007 0.9127 x4  3 Mn 1.99-2.07, 1 Mg 2.09
O6 0.3549 0.1502 0.9254 x4  2 Mn 1.94-2.00, 1 Mg 2.04
O7 0.3941 0.1068 0.6091 x4  3 Mn 1.94-2.10, 1 Mg 2.13
O8 0.4083 0.6166 0.6106 x4  3 Mn 1.90-1.99

**Magnetization**: 14.000 μB per formula unit

#Q
A plane-wave DFT calculation with GGA+U was carried out for a relaxed MgMn4O8 crystal.

Unit cell a=6.0527 b=6.6719 c=6.6061 alpha=90.00 beta=90.00 gamma=90.00
Closest atoms and distances in Å follow each position.
Space group Imm2 (No. 44)
One atom of each set of equivalent atoms:
Mg1 0.0000 0.0000 0.0000 x2  4 O 1.96-2.11
Mn1 0.0000 0.0000 0.4083 x2  4 O 1.90-2.05
Mn2 0.0000 0.2910 0.7125 x4  4 O 1.89-2.00
Mn3 0.0000 0.5000 0.1989 x2  6 O 1.91-2.06
O1 0.0000 0.2842 0.4215 x4  3 Mn 1.90-2.06
O2 0.0000 0.2930 0.9988 x4  2 Mn 1.89-1.91, 1 Mg 1.96
O3 0.1846 0.0000 0.7089 x4  1 Mn 1.91
O4 0.2379 0.5000 0.7111 x4  3 Mn 2.00-2.05, 1 Mg 2.11

**Magnetization**: 14.000 μB per formula unit

Most stable structure, least stable structure: #P, #Q.

#P
A plane-wave DFT calculation with GGA+U was carried out for a relaxed Li3FePCO7 crystal.

Unit cell a=8.5782 b=6.4408 c=9.7769 alpha=90.00 beta=95.04 gamma=90.00
Closest atoms and distances in Å follow each position.
Space group P2_1/c (No. 14)
One atom of each set of equivalent atoms:
Li1 0.1030 0.2504 0.1132 x4  2 O 1.91-1.99
Li2 0.2858 0.0138 0.3824 x4  4 O 2.03-2.24
Li3 0.3537 0.7441 0.1091 x4  4 O 2.01-2.11
Fe1 0.2666 0.5006 0.3712 x4  5 O 2.09-2.24
P1 0.4080 0.2482 0.6398 x4  4 O 1.54-1.57
C1 0.0410 0.7461 0.1491 x4  3 O 1.28-1.32
O1 0.0704 0.7431 0.5234 x4  1 C 1.28
O2 0.1047 0.2463 0.8167 x4  1 C 1.32
O3 0.1529 0.7301 0.2478 x4  1 C 1.30
O4 0.3076 0.0601 0.5886 x4  1 P 1.54
O5 0.3128 0.0582 0.0817 x4  1 P 1.57
O6 0.4201 0.2475 0.3003 x4  1 P 1.56
O7 0.4244 0.7447 0.9082 x4  1 P 1.55

**Magnetization**: 4.000 μB per formula unit

#Q
A plane-wave DFT calculation with GGA+U was carried out for a relaxed Li3FePCO7 crystal.

Unit cell a=5.0236 b=6.4476 c=8.6500 alpha=90.04 beta=97.48 gamma=90.04
Closest atoms and distances in Å follow each position.
Space group P1 (No. 1)
One atom of each set of equivalent atoms:
Li1 0.0000 0.0000 0.0000 x1  4 O 1.99-2.09
Li2 0.0052 0.4764 0.0149 x1  4 O 2.01-2.21
Li3 0.4653 0.9747 0.5791 x1  4 O 2.00-2.20
Li4 0.4700 0.4991 0.5941 x1  4 O 1.98-2.09
Li5 0.5640 0.3797 0.2228 x1  4 O 1.98-2.18
Li6 0.9056 0.8802 0.3704 x1  4 O 1.98-2.18
Fe1 0.5182 0.7401 0.9623 x1  5 O 2.02-2.23
Fe2 0.9513 0.2404 0.6308 x1  5 O 2.02-2.23
P1 0.4766 0.2334 0.8930 x1  4 O 1.54-1.57
P2 0.9930 0.7336 0.7003 x1  4 O 1.54-1.57
C1 0.0881 0.2792 0.3392 x1  3 O 1.28-1.31
C2 0.3814 0.7790 0.2539 x1  3 O 1.28-1.31
O1 0.1621 0.2298 0.8739 x1  1 P 1.57
O2 0.1674 0.3318 0.2098 x1  1 C 1.28
O3 0.2170 0.7853 0.1232 x1  1 C 1.31
O4 0.2522 0.2867 0.4700 x1  1 C 1.31
O5 0.3020 0.8326 0.3832 x1  1 C 1.28
O6 0.3076 0.7295 0.7194 x1  1 P 1.57
O7 0.5681 0.2358 0.7297 x1  1 P 1.54
O8 0.5816 0.4282 0.9908 x1  1 P 1.57
O9 0.5990 0.0464 0.9891 x1  1 P 1.55
O10 0.6254 0.7138 0.2454 x1  1 C 1.31
O11 0.8441 0.2137 0.3478 x1  1 C 1.31
O12 0.8698 0.5464 0.6044 x1  1 P 1.55
O13 0.8888 0.9281 0.6024 x1  1 P 1.57
O14 0.9015 0.7368 0.8635 x1  1 P 1.54

**Magnetization**: 4.001 μB per formula unit

#R
A plane-wave DFT calculation with GGA+U was carried out for a relaxed Li3FePCO7 crystal.

Unit cell a=4.9699 b=8.5206 c=13.0320 alpha=90.69 beta=90.38 gamma=95.04
Closest atoms and distances in Å follow each position.
Space group P1 (No. 1)
One atom of each set of equivalent atoms:
Li1 0.0000 0.0000 0.0000 x1  4 O 2.09-2.19
Li2 0.0012 0.9945 0.4923 x1  4 O 2.05-2.26
Li3 0.0005 0.9968 0.7736 x1  4 O 2.06-2.16
Li4 0.4984 0.5492 0.0229 x1  4 O 2.09-2.24
Li5 0.5012 0.5474 0.7554 x1  5 O 2.09-2.31
Li6 0.5168 0.5552 0.2482 x1  4 O 2.06-2.19
Li7 0.5185 0.1777 0.8879 x1  2 O 1.94-2.01
Li8 0.5194 0.1734 0.3803 x1  3 O 1.93-2.13
Li9 0.9728 0.6259 0.3775 x1  4 O 1.98-2.18
Li10 0.9858 0.3761 0.1387 x1  3 O 1.93-2.15
Li11 0.9875 0.3695 0.6375 x1  2 O 1.92-2.01
Li12 0.9971 0.9946 0.2741 x1  4 O 2.08-2.17
Fe1 0.5053 0.5351 0.5037 x1  4 O 2.06-2.16
Fe2 0.5342 0.9370 0.1347 x1  5 O 2.10-2.16
Fe3 0.5400 0.9394 0.6339 x1  5 O 2.03-2.23
Fe4 0.9644 0.6087 0.8860 x1  5 O 2.04-2.21
P1 0.0284 0.6843 0.6338 x1  4 O 1.54-1.57
P2 0.0292 0.6850 0.1361 x1  4 O 1.54-1.57
P3 0.4685 0.8630 0.3850 x1  4 O 1.54-1.57
P4 0.4712 0.8637 0.8834 x1  4 O 1.54-1.56
C1 0.0458 0.3144 0.3912 x1  3 O 1.28-1.31
C2 0.0542 0.3094 0.8840 x1  3 O 1.29-1.31
C3 0.4517 0.2391 0.6345 x1  3 O 1.28-1.32
C4 0.4554 0.2390 0.1347 x1  3 O 1.29-1.31
O1 0.1131 0.1638 0.8848 x1  1 C 1.30
O2 0.1144 0.1702 0.3851 x1  1 C 1.31
O3 0.1558 0.8462 0.8828 x1  1 P 1.56
O4 0.1566 0.8481 0.3858 x1  1 P 1.54
O5 0.2387 0.4301 0.3961 x1  1 C 1.31
O6 0.2486 0.4232 0.8843 x1  1 C 1.31
O7 0.2559 0.1286 0.6362 x1  1 C 1.29
O8 0.2656 0.1227 0.1335 x1  1 C 1.31
O9 0.3455 0.6978 0.6290 x1  1 P 1.57
O10 0.3460 0.7036 0.1333 x1  1 P 1.57
O11 0.3910 0.3836 0.1355 x1  1 C 1.30
O12 0.3931 0.3870 0.6321 x1  1 C 1.32
O13 0.5704 0.6972 0.8827 x1  1 P 1.54
O14 0.5740 0.6971 0.3816 x1  1 P 1.55
O15 0.5760 0.9638 0.7897 x1  1 P 1.56
O16 0.5800 0.9659 0.2941 x1  1 P 1.56
O17 0.5819 0.9675 0.9756 x1  1 P 1.55
O18 0.5828 0.9635 0.4797 x1  1 P 1.57
O19 0.6978 0.2048 0.6354 x1  1 C 1.28
O20 0.7038 0.2053 0.1352 x1  1 C 1.29
O21 0.7980 0.3450 0.3903 x1  1 C 1.28
O22 0.8071 0.3454 0.8826 x1  1 C 1.29
O23 0.9130 0.5837 0.5406 x1  1 P 1.56
O24 0.9204 0.5837 0.0410 x1  1 P 1.57
O25 0.9293 0.5846 0.2281 x1  1 P 1.54
O26 0.9314 0.5837 0.7279 x1  1 P 1.56
O27 0.9306 0.8527 0.1350 x1  1 P 1.55
O28 0.9363 0.8523 0.6368 x1  1 P 1.54

**Magnetization**: 4.000 μB per formula unit

Most stable structure, least stable structure: #Q, #P.